1.
{
  "formula": "NaLi2MnPCO7",
  "functional": "PBE with a Hubbard U",
  "state": "relaxed",
  "crystal_system": "triclinic",
  "sg": "P1 (1)",
  "formation_enthalpy_0k_ev_per_atom": -2.3832,
  "e_above_lowest_polymorph_mev_per_atom": 27,
  "magnetic_moment_mub_per_fu": 5.00,
  "lattice": [[6.663, 0.000, 0.000], [0.007, 8.721, 0.000], [0.004, 0.152, 10.069]],
  "species": ["Na", "Na", "Na", "Na", "Li", "Li", "Li", "Li", "Li", "Li", "Li", "Li", "Mn", "Mn", "Mn", "Mn", "P", "P", "P", "P", "C", "C", "C", "C", "O", "O", "O", "O", "O", "O", "O", "O", "O", "O", "O", "O", "O", "O", "O", "O", "O", "O", "O", "O", "O", "O", "O", "O", "O", "O", "O", "O"],
  "fractional_positions": [[0.000, 0.000, 0.000], [0.003, 0.999, 0.499], [0.254, 0.170, 0.744], [0.752, 0.663, 0.497], [0.241, 0.180, 0.240], [0.264, 0.652, 0.502], [0.265, 0.653, 0.002], [0.499, 0.833, 0.242], [0.505, 0.832, 0.744], [0.742, 0.653, 0.000], [0.765, 0.181, 0.239], [0.765, 0.181, 0.739], [0.004, 0.559, 0.231], [0.007, 0.558, 0.733], [0.504, 0.275, 0.010], [0.507, 0.276, 0.507], [0.008, 0.326, 0.469], [0.499, 0.509, 0.268], [0.508, 0.513, 0.771], [0.999, 0.329, 0.973], [0.005, 0.865, 0.252], [0.497, 0.964, 0.485], [0.505, 0.960, 0.988], [0.997, 0.861, 0.754], [0.001, 0.330, 0.314], [0.002, 0.498, 0.020], [0.002, 0.799, 0.137], [0.004, 0.014, 0.260], [0.005, 0.798, 0.639], [0.006, 0.775, 0.861], [0.008, 0.779, 0.359], [0.018, 0.492, 0.520], [0.188, 0.237, 0.019], [0.193, 0.230, 0.515], [0.319, 0.603, 0.214], [0.322, 0.603, 0.719], [0.480, 0.819, 0.463], [0.489, 0.501, 0.423], [0.501, 0.503, 0.927], [0.502, 0.340, 0.219], [0.503, 0.013, 0.108], [0.504, 0.814, 0.968], [0.505, 0.015, 0.606], [0.508, 0.055, 0.887], [0.508, 0.061, 0.385], [0.518, 0.345, 0.719], [0.686, 0.603, 0.223], [0.690, 0.611, 0.727], [0.817, 0.237, 0.028], [0.821, 0.238, 0.523], [0.980, 0.010, 0.763], [0.989, 0.332, 0.817]]
}

=====

2.
{
  "formula": "Na5LiMn2P2C2O14",
  "functional": "PBE with a Hubbard U",
  "state": "relaxed",
  "crystal_system": "triclinic",
  "sg": "P-1 (2)",
  "formation_enthalpy_0k_ev_per_atom": -2.3685,
  "e_above_lowest_polymorph_mev_per_atom": 5,
  "magnetic_moment_mub_per_fu": 10.00,
  "lattice": [[6.767, 0.000, 0.000], [-0.100, 8.983, 0.000], [-0.062, -0.007, 10.375]],
  "species": ["Na", "Na", "Na", "Na", "Na", "Na", "Na", "Na", "Na", "Na", "Li", "Li", "Mn", "Mn", "Mn", "Mn", "P", "P", "P", "P", "C", "C", "C", "C", "O", "O", "O", "O", "O", "O", "O", "O", "O", "O", "O", "O", "O", "O", "O", "O", "O", "O", "O", "O", "O", "O", "O", "O", "O", "O", "O", "O"],
  "fractional_positions": [[0.001, 0.242, 0.374], [0.244, 0.417, 0.129], [0.248, 0.416, 0.631], [0.498, 0.242, 0.874], [0.499, 0.241, 0.373], [0.501, 0.759, 0.627], [0.502, 0.758, 0.126], [0.752, 0.584, 0.369], [0.756, 0.583, 0.871], [0.999, 0.758, 0.626], [0.012, 0.230, 0.869], [0.988, 0.770, 0.131], [0.247, 0.862, 0.358], [0.250, 0.861, 0.863], [0.750, 0.139, 0.137], [0.753, 0.138, 0.642], [0.242, 0.087, 0.099], [0.251, 0.088, 0.603], [0.749, 0.912, 0.397], [0.758, 0.913, 0.901], [0.242, 0.556, 0.883], [0.249, 0.561, 0.382], [0.751, 0.439, 0.618], [0.758, 0.444, 0.117], [0.065, 0.182, 0.145], [0.069, 0.180, 0.648], [0.231, 0.412, 0.892], [0.234, 0.077, 0.948], [0.234, 0.926, 0.154], [0.246, 0.071, 0.453], [0.247, 0.623, 0.269], [0.247, 0.640, 0.985], [0.247, 0.644, 0.484], [0.249, 0.619, 0.770], [0.251, 0.931, 0.664], [0.252, 0.417, 0.393], [0.432, 0.173, 0.140], [0.437, 0.181, 0.643], [0.563, 0.819, 0.357], [0.568, 0.827, 0.860], [0.748, 0.583, 0.607], [0.749, 0.069, 0.336], [0.751, 0.381, 0.230], [0.753, 0.356, 0.516], [0.753, 0.360, 0.015], [0.753, 0.377, 0.731], [0.754, 0.929, 0.547], [0.766, 0.074, 0.846], [0.766, 0.923, 0.052], [0.769, 0.588, 0.108], [0.931, 0.820, 0.352], [0.935, 0.818, 0.855]]
}

=====

3.
{
  "formula": "NaLi5Mn2P2C2O14",
  "functional": "PBE with a Hubbard U",
  "state": "relaxed",
  "crystal_system": "monoclinic",
  "sg": "P2_1 (4)",
  "formation_enthalpy_0k_ev_per_atom": -2.4025,
  "e_above_lowest_polymorph_mev_per_atom": 2,
  "magnetic_moment_mub_per_fu": 10.00,
  "lattice": [[8.634, 0.000, 0.000], [0.000, 6.682, 0.000], [-0.418, 0.000, 9.989]],
  "species": ["Na", "Na", "Li", "Li", "Li", "Li", "Li", "Li", "Li", "Li", "Li", "Li", "Mn", "Mn", "Mn", "Mn", "P", "P", "P", "P", "C", "C", "C", "C", "O", "O", "O", "O", "O", "O", "O", "O", "O", "O", "O", "O", "O", "O", "O", "O", "O", "O", "O", "O", "O", "O", "O", "O", "O", "O", "O", "O"],
  "fractional_positions": [[0.248, 0.000, 0.124], [0.752, 0.500, 0.876], [0.084, 0.257, 0.381], [0.091, 0.252, 0.876], [0.266, 0.031, 0.632], [0.267, 0.470, 0.634], [0.270, 0.477, 0.135], [0.730, 0.977, 0.865], [0.733, 0.970, 0.366], [0.734, 0.531, 0.368], [0.909, 0.752, 0.124], [0.916, 0.757, 0.619], [0.351, 0.748, 0.367], [0.354, 0.750, 0.857], [0.646, 0.250, 0.143], [0.649, 0.248, 0.633], [0.406, 0.252, 0.398], [0.408, 0.251, 0.891], [0.592, 0.751, 0.109], [0.594, 0.752, 0.602], [0.038, 0.752, 0.386], [0.043, 0.761, 0.888], [0.957, 0.261, 0.112], [0.962, 0.252, 0.614], [0.079, 0.754, 0.763], [0.079, 0.758, 0.263], [0.099, 0.283, 0.077], [0.108, 0.250, 0.585], [0.142, 0.747, 0.484], [0.152, 0.743, 0.981], [0.303, 0.069, 0.849], [0.307, 0.431, 0.344], [0.314, 0.064, 0.351], [0.318, 0.434, 0.832], [0.417, 0.257, 0.555], [0.422, 0.269, 0.047], [0.424, 0.757, 0.650], [0.426, 0.731, 0.160], [0.574, 0.231, 0.840], [0.576, 0.257, 0.350], [0.578, 0.769, 0.953], [0.583, 0.757, 0.445], [0.682, 0.934, 0.168], [0.686, 0.564, 0.649], [0.693, 0.931, 0.656], [0.697, 0.569, 0.151], [0.848, 0.243, 0.019], [0.858, 0.247, 0.516], [0.892, 0.750, 0.415], [0.901, 0.783, 0.923], [0.921, 0.254, 0.237], [0.921, 0.258, 0.737]]
}

=====

4.
{
  "formula": "NaLi2MnPCO7",
  "functional": "PBE with a Hubbard U",
  "state": "relaxed",
  "crystal_system": "triclinic",
  "sg": "P1 (1)",
  "formation_enthalpy_0k_ev_per_atom": -2.3917,
  "e_above_lowest_polymorph_mev_per_atom": 18,
  "magnetic_moment_mub_per_fu": 5.00,
  "lattice": [[6.699, 0.000, 0.000], [0.102, 8.686, 0.000], [0.001, 0.268, 10.095]],
  "species": ["Na", "Na", "Na", "Na", "Li", "Li", "Li", "Li", "Li", "Li", "Li", "Li", "Mn", "Mn", "Mn", "Mn", "P", "P", "P", "P", "C", "C", "C", "C", "O", "O", "O", "O", "O", "O", "O", "O", "O", "O", "O", "O", "O", "O", "O", "O", "O", "O", "O", "O", "O", "O", "O", "O", "O", "O", "O", "O"],
  "fractional_positions": [[0.000, 0.000, 0.000], [0.001, 0.002, 0.497], [0.498, 0.500, 0.747], [0.742, 0.835, 0.750], [0.022, 0.487, 0.257], [0.023, 0.479, 0.760], [0.249, 0.660, 0.497], [0.256, 0.663, 0.003], [0.478, 0.486, 0.254], [0.525, 0.023, 0.484], [0.526, 0.022, 0.988], [0.734, 0.829, 0.246], [0.253, 0.104, 0.259], [0.256, 0.110, 0.762], [0.750, 0.398, 0.480], [0.753, 0.396, 0.989], [0.249, 0.344, 0.515], [0.254, 0.345, 0.023], [0.744, 0.157, 0.225], [0.752, 0.165, 0.726], [0.241, 0.795, 0.737], [0.250, 0.789, 0.239], [0.738, 0.707, 0.501], [0.739, 0.698, 0.016], [0.065, 0.434, 0.457], [0.069, 0.436, 0.969], [0.215, 0.653, 0.703], [0.233, 0.332, 0.669], [0.245, 0.333, 0.178], [0.245, 0.833, 0.361], [0.246, 0.833, 0.861], [0.250, 0.644, 0.210], [0.256, 0.892, 0.143], [0.262, 0.901, 0.644], [0.264, 0.177, 0.971], [0.267, 0.177, 0.464], [0.429, 0.446, 0.473], [0.434, 0.444, 0.980], [0.569, 0.059, 0.282], [0.571, 0.077, 0.787], [0.721, 0.853, 0.522], [0.722, 0.846, 0.034], [0.727, 0.169, 0.070], [0.729, 0.176, 0.572], [0.742, 0.642, 0.898], [0.743, 0.325, 0.276], [0.746, 0.656, 0.382], [0.748, 0.610, 0.602], [0.755, 0.606, 0.119], [0.769, 0.331, 0.778], [0.936, 0.064, 0.263], [0.940, 0.065, 0.763]]
}

=====

5.
{
  "formula": "Na5LiMn2P2C2O14",
  "functional": "PBE with a Hubbard U",
  "state": "relaxed",
  "crystal_system": "triclinic",
  "sg": "P1 (1)",
  "formation_enthalpy_0k_ev_per_atom": -2.3652,
  "e_above_lowest_polymorph_mev_per_atom": 8,
  "magnetic_moment_mub_per_fu": 10.00,
  "lattice": [[6.813, 0.000, 0.000], [-0.037, 8.963, 0.000], [-0.020, -0.022, 10.330]],
  "species": ["Na", "Na", "Na", "Na", "Na", "Na", "Na", "Na", "Na", "Na", "Li", "Li", "Mn", "Mn", "Mn", "Mn", "P", "P", "P", "P", "C", "C", "C", "C", "O", "O", "O", "O", "O", "O", "O", "O", "O", "O", "O", "O", "O", "O", "O", "O", "O", "O", "O", "O", "O", "O", "O", "O", "O", "O", "O", "O"],
  "fractional_positions": [[0.000, 0.000, 0.000], [0.001, 0.001, 0.500], [0.004, 0.519, 0.752], [0.005, 0.518, 0.253], [0.253, 0.343, 0.997], [0.500, 0.518, 0.752], [0.504, 0.001, 0.500], [0.505, 0.000, 0.000], [0.751, 0.177, 0.257], [0.752, 0.177, 0.756], [0.253, 0.343, 0.496], [0.497, 0.524, 0.255], [0.252, 0.898, 0.265], [0.252, 0.898, 0.765], [0.751, 0.618, 0.486], [0.751, 0.620, 0.988], [0.252, 0.667, 0.524], [0.254, 0.669, 0.026], [0.750, 0.847, 0.227], [0.752, 0.848, 0.727], [0.252, 0.201, 0.741], [0.256, 0.205, 0.247], [0.751, 0.320, 0.009], [0.752, 0.319, 0.508], [0.069, 0.573, 0.484], [0.069, 0.578, 0.985], [0.252, 0.116, 0.639], [0.252, 0.117, 0.146], [0.252, 0.139, 0.856], [0.252, 0.147, 0.363], [0.252, 0.344, 0.729], [0.252, 0.826, 0.464], [0.252, 0.828, 0.967], [0.254, 0.686, 0.674], [0.260, 0.684, 0.177], [0.264, 0.349, 0.233], [0.433, 0.572, 0.481], [0.436, 0.578, 0.982], [0.569, 0.941, 0.268], [0.569, 0.941, 0.768], [0.742, 0.686, 0.285], [0.749, 0.404, 0.112], [0.750, 0.383, 0.394], [0.752, 0.382, 0.895], [0.752, 0.404, 0.611], [0.752, 0.690, 0.788], [0.752, 0.830, 0.576], [0.752, 0.832, 0.076], [0.753, 0.176, 0.019], [0.753, 0.176, 0.518], [0.935, 0.937, 0.270], [0.936, 0.941, 0.768]]
}

=====

6.
{
  "formula": "Na5LiMn2P2C2O14",
  "functional": "PBE with a Hubbard U",
  "state": "relaxed",
  "crystal_system": "triclinic",
  "sg": "P1 (1)",
  "formation_enthalpy_0k_ev_per_atom": -2.3661,
  "e_above_lowest_polymorph_mev_per_atom": 7,
  "magnetic_moment_mub_per_fu": 10.00,
  "lattice": [[6.817, 0.000, 0.000], [-0.047, 8.966, 0.000], [-0.020, -0.040, 10.332]],
  "species": ["Na", "Na", "Na", "Na", "Na", "Na", "Na", "Na", "Na", "Na", "Li", "Li", "Mn", "Mn", "Mn", "Mn", "P", "P", "P", "P", "C", "C", "C", "C", "O", "O", "O", "O", "O", "O", "O", "O", "O", "O", "O", "O", "O", "O", "O", "O", "O", "O", "O", "O", "O", "O", "O", "O", "O", "O", "O", "O"],
  "fractional_positions": [[0.000, 0.000, 0.000], [0.000, 0.000, 0.498], [0.003, 0.516, 0.251], [0.003, 0.518, 0.752], [0.254, 0.342, 0.494], [0.254, 0.342, 0.997], [0.500, 0.518, 0.752], [0.503, 0.000, 0.000], [0.504, 0.000, 0.498], [0.752, 0.175, 0.755], [0.492, 0.525, 0.255], [0.748, 0.176, 0.253], [0.251, 0.898, 0.263], [0.252, 0.896, 0.765], [0.749, 0.619, 0.484], [0.751, 0.619, 0.988], [0.251, 0.669, 0.522], [0.255, 0.668, 0.026], [0.748, 0.850, 0.226], [0.752, 0.847, 0.727], [0.252, 0.198, 0.743], [0.258, 0.202, 0.244], [0.750, 0.318, 0.013], [0.751, 0.314, 0.503], [0.066, 0.577, 0.482], [0.069, 0.577, 0.987], [0.251, 0.119, 0.140], [0.251, 0.343, 0.732], [0.252, 0.114, 0.640], [0.252, 0.136, 0.857], [0.252, 0.139, 0.356], [0.252, 0.827, 0.462], [0.252, 0.827, 0.967], [0.255, 0.686, 0.672], [0.264, 0.683, 0.177], [0.269, 0.347, 0.234], [0.433, 0.577, 0.477], [0.435, 0.577, 0.980], [0.569, 0.939, 0.768], [0.570, 0.948, 0.266], [0.738, 0.690, 0.285], [0.747, 0.405, 0.114], [0.750, 0.367, 0.386], [0.750, 0.404, 0.603], [0.750, 0.831, 0.075], [0.751, 0.376, 0.898], [0.751, 0.829, 0.576], [0.752, 0.689, 0.788], [0.753, 0.171, 0.521], [0.753, 0.174, 0.029], [0.933, 0.940, 0.268], [0.935, 0.940, 0.768]]
}